Record 1
Dy2MgNi2 PBE-GGA relaxed; E_form = -0.382 eV per atom
1.0
7.3085 0.0000 0.0000
0.0000 7.3085 0.0000
0.0000 0.0000 3.7520
Dy Ni Mg
4 4 2
direct
0.8241 0.6759 0.5000
0.1759 0.3241 0.5000
0.3241 0.8241 0.5000
0.6759 0.1759 0.5000
0.8821 0.3821 0.0000
0.3821 0.1179 0.0000
0.6179 0.8821 0.0000
0.1179 0.6179 0.0000
0.0000 0.0000 0.0000
0.5000 0.5000 0.0000

Record 2
Dy4MgNi PBE-GGA relaxed; E_form = -0.200 eV per atom
1.0
-3.1386 2.9051 8.6369
-9.4509 0.1896 1.8791
-3.8227 -6.3766 6.1330
Dy Ni Mg
16 4 4
direct
0.8129 0.1871 0.1871
0.5652 0.5652 0.9348
0.9624 0.3459 0.3459
0.3459 0.3459 0.9624
0.9348 0.5652 0.5652
0.8129 0.1871 0.8129
0.8129 0.8129 0.1871
0.1871 0.8129 0.1871
0.5652 0.9348 0.9348
0.3459 0.9624 0.3459
0.1871 0.1871 0.8129
0.9348 0.5652 0.9348
0.9348 0.9348 0.5652
0.1871 0.8129 0.8129
0.3459 0.3459 0.3459
0.5652 0.9348 0.5652
0.5752 0.1416 0.1416
0.1416 0.1416 0.5752
0.1416 0.5752 0.1416
0.1416 0.1416 0.1416
0.5801 0.5801 0.5801
0.2598 0.5801 0.5801
0.5801 0.2598 0.5801
0.5801 0.5801 0.2598

Record 3
Dy6MgSb10O24 PBE-GGA relaxed; excess energy over the best structure of this formula in the dataset = 0 meV per atom; E_form = -2.554 eV per atom; magnetic moment = 0.0 μB per cell
1.0
1.9021 -1.9781 8.9195
5.4481 7.1482 -2.8012
-8.9951 2.6849 -0.7111
O Dy Sb Mg
24 6 10 1
direct
0.1816 0.4929 0.4929
0.1955 0.4819 0.9981
0.7892 0.3107 0.7955
0.9810 0.4715 0.1888
0.4844 0.4874 0.1926
0.7838 0.2960 0.2960
0.7892 0.7955 0.3107
0.4844 0.1926 0.4874
0.4700 0.9933 0.1982
0.7058 0.5233 0.0062
0.5152 0.7147 0.0111
0.2914 0.8034 0.8034
0.5152 0.0111 0.7147
0.4784 0.6702 0.4847
0.2912 0.2995 0.7959
0.2912 0.7959 0.2995
0.4784 0.4847 0.6702
0.4700 0.1982 0.9933
0.9810 0.1888 0.4715
0.6833 0.5079 0.5079
0.7058 0.0062 0.5233
0.0038 0.7023 0.5062
0.1955 0.9981 0.4819
0.0038 0.5062 0.7023
0.5048 0.2669 0.7529
0.7504 0.2585 0.5096
0.2684 0.7582 0.5128
0.5048 0.7529 0.2669
0.2684 0.5128 0.7582
0.7504 0.5096 0.2585
0.9897 0.2841 0.2841
0.7538 0.0523 0.7610
0.4224 0.4204 0.4204
0.9990 0.0040 0.5293
0.7538 0.7610 0.0523
0.2717 0.9940 0.2823
0.2717 0.2823 0.9940
0.0320 0.7314 0.7314
0.5243 0.0118 0.0118
0.9990 0.5293 0.0040
0.6730 0.6990 0.6990

Record 4
Dy6MgSb10O24 PBE-GGA relaxed; excess energy over the best structure of this formula in the dataset = 15 meV per atom; E_form = -2.539 eV per atom; magnetic moment = 0.0 μB per cell
1.0
-5.4918 5.4918 5.4918
5.4918 -5.4918 5.4918
5.4918 5.4918 -5.4918
O Mg Dy Sb
24 1 6 10
direct
0.2770 0.7991 0.7991
0.7941 0.2972 0.2972
0.4779 0.2009 0.0000
0.4779 0.0000 0.2009
0.7028 0.4970 0.0000
0.4970 0.0000 0.7028
0.0000 0.4970 0.7028
0.2009 0.0000 0.4779
0.7230 0.5221 0.5221
0.2972 0.7941 0.2972
0.0000 0.2009 0.4779
0.7991 0.7991 0.2770
0.4970 0.7028 0.0000
0.5221 0.5221 0.7230
0.5030 0.2059 0.5030
0.0000 0.7028 0.4970
0.5221 0.7230 0.5221
0.2972 0.2972 0.7941
0.0000 0.4779 0.2009
0.2009 0.4779 0.0000
0.7991 0.2770 0.7991
0.2059 0.5030 0.5030
0.5030 0.5030 0.2059
0.7028 0.0000 0.4970
0.0000 0.0000 0.0000
0.2500 0.7500 0.5000
0.7500 0.2500 0.5000
0.7500 0.5000 0.2500
0.5000 0.7500 0.2500
0.2500 0.5000 0.7500
0.5000 0.2500 0.7500
0.7099 0.0000 0.7099
0.0000 0.7099 0.7099
0.0000 0.2901 0.2901
0.0000 0.5123 0.0000
0.0000 0.0000 0.5123
0.2901 0.0000 0.2901
0.4877 0.4877 0.4877
0.5123 0.0000 0.0000
0.2901 0.2901 0.0000
0.7099 0.7099 0.0000

Record 5
Dy6MgSb10O24 PBE-GGA relaxed; excess energy over the best structure of this formula in the dataset = 1 meV per atom; E_form = -2.553 eV per atom; magnetic moment = 0.0 μB per cell
1.0
0.7316 6.8868 6.8196
-8.7828 -3.2468 -0.3965
5.7551 -7.1308 1.9662
Sb O Dy Mg
10 24 6 1
direct
0.0049 0.2864 0.2864
0.2463 0.0000 0.2991
0.2463 0.2991 0.0000
0.4690 0.4757 0.4757
0.5782 0.0000 0.0000
0.9933 0.5243 0.0000
0.7185 0.7136 0.0000
0.9473 0.7009 0.7009
0.7185 0.0000 0.7136
0.9933 0.0000 0.5243
0.0088 0.2034 0.4845
0.5101 0.6997 0.0000
0.8054 0.2811 0.7966
0.9905 0.7001 0.5086
0.5096 0.1847 0.0000
0.8103 0.3003 0.3003
0.2022 0.5111 0.0000
0.8054 0.7966 0.2811
0.7031 0.0000 0.4965
0.0088 0.4845 0.2034
0.6912 0.4889 0.4889
0.9905 0.5086 0.7001
0.5101 0.0000 0.6997
0.5243 0.5155 0.7189
0.5243 0.7189 0.5155
0.2022 0.0000 0.5111
0.2904 0.8085 0.2999
0.2904 0.2999 0.8085
0.7031 0.4965 0.0000
0.4820 0.1915 0.4914
0.2066 0.5035 0.5035
0.4820 0.4914 0.1915
0.3249 0.8153 0.8153
0.5096 0.0000 0.1847
0.7314 0.2432 0.4879
0.2435 0.5121 0.7553
0.4881 0.7568 0.2447
0.7314 0.4879 0.2432
0.4881 0.2447 0.7568
0.2435 0.7553 0.5121
0.3081 0.0000 0.0000

Record 6
Dy6MgSb10O24 PBE-GGA relaxed; excess energy over the best structure of this formula in the dataset = 25 meV per atom; E_form = -2.529 eV per atom; magnetic moment = 2.0 μB per cell
1.0
-5.4577 5.4880 5.4880
5.4577 -5.4880 5.4880
5.4577 5.4880 -5.4880
Sb O Dy Mg
10 24 6 1
direct
0.2808 0.2808 0.0000
0.0000 0.9950 0.5068
0.0000 0.2450 0.2450
0.5118 0.0050 0.0050
0.4882 0.4932 0.4932
0.0000 0.7550 0.7550
0.0000 0.5068 0.9950
0.2808 0.0000 0.2808
0.7192 0.0000 0.7192
0.7192 0.7192 0.0000
0.5066 0.0057 0.7107
0.2029 0.4750 0.9907
0.5157 0.7279 0.5250
0.7050 0.5009 0.9943
0.2029 0.9907 0.4750
0.2009 0.5026 0.5026
0.4934 0.2042 0.4991
0.7050 0.9943 0.5009
0.2950 0.2893 0.7958
0.5157 0.5250 0.7279
0.0000 0.1870 0.4548
0.7971 0.2721 0.7878
0.4934 0.4991 0.2042
0.0000 0.6983 0.4974
0.7322 0.5452 0.5452
0.0000 0.4974 0.6983
0.7971 0.7878 0.2721
0.5066 0.7107 0.0057
0.0000 0.4548 0.1870
0.4843 0.0093 0.2122
0.4843 0.2122 0.0093
0.2678 0.8130 0.8130
0.7991 0.3017 0.3017
0.2950 0.7958 0.2893
0.7369 0.5000 0.2369
0.2631 0.7631 0.5000
0.2631 0.5000 0.7631
0.5000 0.7500 0.2500
0.5000 0.2500 0.7500
0.7369 0.2369 0.5000
0.0000 0.5000 0.5000

Record 7
Dy2MgTiO6 PBE-GGA relaxed; E_form = -3.705 eV per atom; magnetic moment = 0.0 μB per cell
1.0
5.6343 0.0000 0.0000
0.0000 5.3314 0.0000
0.0000 5.2703 7.7125
Ti O Mg Dy
2 12 2 4
direct
0.0000 0.0000 0.0000
0.5000 0.0000 0.5000
0.9560 0.1274 0.7573
0.6891 0.3537 0.4452
0.1891 0.6463 0.0548
0.3109 0.6463 0.5548
0.0440 0.8726 0.2427
0.7944 0.7487 0.5644
0.4560 0.8726 0.7427
0.2056 0.2513 0.4356
0.8109 0.3537 0.9452
0.7056 0.7487 0.0644
0.5440 0.1274 0.2573
0.2944 0.2513 0.9356
0.0000 0.5000 0.5000
0.5000 0.5000 0.0000
0.5660 0.2724 0.7466
0.9340 0.2724 0.2466
0.4340 0.7276 0.2534
0.0660 0.7276 0.7534

Record 8
DyMgPd PBE-GGA relaxed; E_form = -0.693 eV per atom
1.0
3.7590 -6.5108 0.0000
3.7590 6.5108 0.0000
0.0000 0.0000 4.0204
Mg Dy Pd
3 3 3
direct
0.7559 0.0000 0.0000
0.0000 0.7559 0.0000
0.2441 0.2441 0.0000
0.4148 0.0000 0.5000
0.0000 0.4148 0.5000
0.5852 0.5852 0.5000
0.0000 0.0000 0.5000
0.6667 0.3333 0.0000
0.3333 0.6667 0.0000

Record 9
Dy2MgPd2 PBE-GGA relaxed; E_form = -0.781 eV per atom
1.0
0.0000 0.0000 3.8963
7.5772 0.0000 0.0000
0.0000 7.5772 0.0000
Pd Dy Mg
4 4 2
direct
0.0000 0.8683 0.6317
0.0000 0.1317 0.3683
0.0000 0.6317 0.1317
0.0000 0.3683 0.8683
0.5000 0.3303 0.1697
0.5000 0.8303 0.3303
0.5000 0.6697 0.8303
0.5000 0.1697 0.6697
0.0000 0.0000 0.0000
0.0000 0.5000 0.5000

Record 10
PrDyMg2 PBE-GGA relaxed; E_form = -0.097 eV per atom
1.0
-5.1227 -1.5657 -0.9589
-4.1367 3.2993 1.2710
-2.8831 2.3932 -3.9464
Pr Mg Dy
1 2 1
direct
0.0000 0.0000 0.0000
0.7500 0.7500 0.7500
0.2500 0.2500 0.2500
0.5000 0.5000 0.5000

Record 11
DyMgRh2 PBE-GGA relaxed; E_form = -0.717 eV per atom
1.0
-2.2603 -2.5331 3.1722
-3.5657 -2.6879 -1.2843
0.4483 -4.6245 0.0293
Mg Dy Rh
1 1 2
direct
0.0000 0.0000 0.0000
0.5000 0.5000 0.5000
0.2500 0.2500 0.2500
0.7500 0.7500 0.7500

Record 12
Dy4MgRh PBE-GGA relaxed; E_form = -0.397 eV per atom
1.0
0.0000 6.8563 6.8563
6.8563 0.0000 6.8563
6.8563 6.8563 0.0000
Rh Dy Mg
4 16 4
direct
0.8582 0.8582 0.8582
0.8582 0.4255 0.8582
0.4255 0.8582 0.8582
0.8582 0.8582 0.4255
0.1877 0.1877 0.8123
0.4354 0.4354 0.0646
0.8123 0.8123 0.1877
0.4354 0.0646 0.0646
0.1877 0.8123 0.1877
0.6532 0.6532 0.0404
0.8123 0.1877 0.8123
0.6532 0.0404 0.6532
0.8123 0.1877 0.1877
0.0646 0.0646 0.4354
0.4354 0.0646 0.4354
0.0646 0.4354 0.0646
0.0404 0.6532 0.6532
0.0646 0.4354 0.4354
0.6532 0.6532 0.6532
0.1877 0.8123 0.8123
0.4203 0.4203 0.4203
0.7390 0.4203 0.4203
0.4203 0.4203 0.7390
0.4203 0.7390 0.4203

Q: E_form of number 8 (DyMgPd)?
A: -0.693 eV per atom